# 1
# KInW2O8 (GGA+U, relaxed)
data_KInW2O8
_cell_length_a 5.9040
_cell_length_b 5.9040
_cell_length_c 15.1409
_cell_angle_alpha 90.00
_cell_angle_beta 90.00
_cell_angle_gamma 120.00
_space_group_name_H-M_alt 'P -3 c 1'
_space_group_IT_number 165
_space_group_name_Hall '-P 3 2"c'
loop_
_atom_site_label
_atom_site_fract_x
_atom_site_fract_y
_atom_site_fract_z
K1 0.0000 0.0000 0.2500
In1 0.0000 0.0000 0.0000
W1 0.3333 0.6667 0.1233
O1 0.1195 0.3301 0.0868
O2 0.3333 0.6667 0.2404
# - calculated formation energy (eV per atom) = -2.14
# - E (MP2020) (eV per atom) = -7.92
# - ρ (g cm⁻³) = 4.720
# - size of the total moment (μB per formula unit) = 0.00

***

# 2
# KInW4O12 (GGA+U, relaxed)
data_KInW4O12
_cell_length_a 7.909
_cell_length_b 7.867
_cell_length_c 7.720
_cell_angle_alpha 90.00
_cell_angle_beta 90.00
_cell_angle_gamma 90.00
_space_group_name_H-M_alt 'A m m 2'
_space_group_IT_number 38
loop_
_space_group_symop_operation_xyz
'x,y,z'
'-x,-y,z'
'-x,y,z'
'x,-y,z'
'x,y+1/2,z+1/2'
'-x,-y+1/2,z+1/2'
'-x,y+1/2,z+1/2'
'x,-y+1/2,z+1/2'
loop_
_atom_site_label
_atom_site_fract_x
_atom_site_fract_y
_atom_site_fract_z
K1 0.000 0.000 0.000
In1 0.500 0.000 0.527
W1 0.249 0.249 0.760
O1 0.000 0.211 0.275
O2 0.212 0.000 0.708
O3 0.258 0.206 0.009
O4 0.311 0.000 0.322
O5 0.500 0.196 0.726
# - calculated formation energy (eV per atom) = -2.01
# - E (MP2020) (eV per atom) = -8.41
# - ρ (g cm⁻³) = 7.476
# - size of the total moment (μB per formula unit) = 4.00

***

# 3
# KZrInWO6 (GGA+U, relaxed)
data_KZrInWO6
_cell_length_a 8.211
_cell_length_b 8.211
_cell_length_c 8.211
_cell_angle_alpha 90.00
_cell_angle_beta 90.00
_cell_angle_gamma 90.00
_space_group_name_H-M_alt 'F -4 3 m'
_space_group_IT_number 216
_space_group_name_Hall 'F -4 2 3'
loop_
_atom_site_label
_atom_site_fract_x
_atom_site_fract_y
_atom_site_fract_z
K1 0.000 0.000 0.000
Zr1 0.250 0.250 0.750
In1 0.000 0.000 0.500
W1 0.250 0.250 0.250
O1 0.011 0.250 0.250
# - calculated formation energy (eV per atom) = -2.47
# - E (MP2020) (eV per atom) = -7.98
# - ρ (g cm⁻³) = 6.298
# - size of the total moment (μB per formula unit) = 0.00

***

# 4
# LiMgInMo3O12 (GGA+U, relaxed)
data_LiMgInMo3O12
_cell_length_a 7.100
_cell_length_b 8.617
_cell_length_c 9.931
_cell_angle_alpha 96.51
_cell_angle_beta 106.47
_cell_angle_gamma 101.75
_space_group_name_H-M_alt 'P -1'
_space_group_IT_number 2
loop_
_space_group_symop_operation_xyz
'x,y,z'
'-x,-y,-z'
loop_
_atom_site_label
_atom_site_fract_x
_atom_site_fract_y
_atom_site_fract_z
Li1 0.038 0.105 0.297
Mg1 0.459 0.303 0.508
In1 0.247 0.698 0.905
Mo1 0.017 0.298 0.620
Mo2 0.302 0.398 0.166
Mo3 0.495 0.007 0.249
O1 0.011 0.129 0.703
O2 0.057 0.267 0.145
O3 0.148 0.276 0.488
O4 0.150 0.480 0.755
O5 0.238 0.696 0.465
O6 0.253 0.562 0.080
O7 0.268 0.874 0.763
O8 0.337 0.903 0.074
O9 0.361 0.138 0.318
O10 0.440 0.296 0.075
O11 0.442 0.475 0.352
O12 0.453 0.135 0.641
# - calculated formation energy (eV per atom) = -2.19
# - E (MP2020) (eV per atom) = -7.64
# - ρ (g cm⁻³) = 3.706
# - size of the total moment (μB per formula unit) = 0.00